An optimized crystal structure of CaBiO3. Source: the Materials Project, functional r2SCAN.

Results
Crystal system: orthorhombic
Calculated volume (Å³/f.u.): 72.35
Calculated formation energy (eV per atom): -1.99

abc: 6.032 8.324 5.763
angles: 90.00 90.00 90.00
Positions (direct):
Ca (0.059, 0.250, 0.019)
Ca (0.441, 0.750, 0.519)
Ca (0.559, 0.250, 0.481)
Ca (0.941, 0.750, 0.981)
Bi (0.000, 0.000, 0.500)
Bi (0.000, 0.500, 0.500)
Bi (0.500, 0.000, 0.000)
Bi (0.500, 0.500, 0.000)
O (0.064, 0.750, 0.368)
O (0.197, 0.570, 0.807)
O (0.197, 0.930, 0.807)
O (0.303, 0.070, 0.307)
O (0.303, 0.430, 0.307)
O (0.436, 0.250, 0.868)
O (0.564, 0.750, 0.132)
O (0.697, 0.570, 0.693)
O (0.697, 0.930, 0.693)
O (0.803, 0.070, 0.193)
O (0.803, 0.430, 0.193)
O (0.936, 0.250, 0.632)